# 1
Computed, not measured: a relaxed structure of NbAsO4 at the PBE level of DFT.

abc: 5.578 5.063 12.056
angles: 90.00 90.00 90.00
Space group Pna2_1 (No. 33)
Inequivalent atoms, fractional coordinates:
Nb: 0.112 0.016 0.000
As: 0.060 0.402 0.252
O: 0.080 0.713 0.439
O: 0.127 0.228 0.533
O: 0.150 0.833 0.830
O: 0.160 0.161 0.151

Calculated values
E: -7.71 eV/atom
volume: 340 Å³/cell
energy of formation: -2.410 eV per atom
maximum piezoelectric response: 2.54 C/m2

# 2
Computed, not measured: a relaxed structure of EuAl at the PBE level of DFT.

abc: 5.755 9.397 9.981
angles: 90.00 90.00 90.00
Space group Pmmn (No. 59, origin choice 2)
Inequivalent atoms, fractional coordinates:
Eu: 0.250 0.051 0.189
Eu: 0.250 0.568 0.585
Eu: 0.250 0.750 0.994
Al: 0.009 0.750 0.317
Al: 0.250 0.106 0.872
Al: 0.250 0.250 0.454

Calculated values
E: -7.30 eV/atom
volume: 540 Å³/cell
energy of formation: -0.299 eV per atom

# 3
Computed, not measured: a relaxed structure of CuH at the PBE level of DFT.

abc: 2.8486 2.8486 4.5712
angles: 90.00 90.00 120.00
Space group P6_3mc (No. 186)
Inequivalent atoms, fractional coordinates:
Cu: 0.3333 0.6667 0.0000
H: 0.3333 0.6667 0.6205

Calculated values
E: -3.61 eV/atom
volume: 32 Å³/cell
energy of formation: 0.049 eV per atom
maximum piezoelectric response: 0.38 C/m2

# 4
Computed, not measured: a relaxed structure of TlCr3Se5 at the PBE level of DFT.

abc: 20.372 3.709 12.734
angles: 90.00 122.40 90.00
Space group C2/m (No. 12)
Inequivalent atoms, fractional coordinates:
Tl: 0.239 0.000 0.328
Cr: 0.000 0.000 0.000
Cr: 0.000 0.000 0.500
Cr: 0.015 0.500 0.272
Cr: 0.164 0.500 0.888
Se: 0.077 0.000 0.894
Se: 0.079 0.500 0.651
Se: 0.081 0.500 0.154
Se: 0.091 0.000 0.419
Se: 0.246 0.000 0.880

Calculated values
E: -5.95 eV/atom
volume: 812 Å³/cell
energy of formation: -0.791 eV per atom

# 5
Computed, not measured: a relaxed structure of CaGd2Ge4O12 at the PBE level of DFT.

abc: 14.366 14.428 5.141
angles: 90.00 90.00 90.00
Space group Cmme (No. 67)
Inequivalent atoms, fractional coordinates:
Ca: 0.000 0.000 0.000
Gd: 0.250 0.000 0.000
Gd: 0.250 0.250 0.000
Ge: 0.113 0.136 0.499
O: 0.000 0.129 0.657
O: 0.120 0.057 0.245
O: 0.124 0.250 0.341
O: 0.192 0.134 0.755

Calculated values
E: -8.05 eV/atom
volume: 1066 Å³/cell
energy of formation: -2.803 eV per atom

# 6
Computed, not measured: a relaxed structure of ZrTi2 at the PBE level of DFT.

abc: 7.827 7.827 7.827
angles: 90.00 90.00 90.00
Space group Fd-3m (No. 227, origin choice 2)
Inequivalent atoms, fractional coordinates:
Zr: 0.125 0.125 0.125
Ti: 0.000 0.000 0.500

Calculated values
E: -7.96 eV/atom
volume: 480 Å³/cell
energy of formation: 0.155 eV per atom

# 7
Computed, not measured: a relaxed structure of K2IrF6 at the PBE level of DFT.

abc: 5.8925 5.8925 4.7388
angles: 90.00 90.00 120.00
Space group P-3m1 (No. 164)
Inequivalent atoms, fractional coordinates:
K: 0.3333 0.6667 0.2897
Ir: 0.0000 0.0000 0.0000
F: 0.1622 0.3244 0.7736

Calculated values
E: -4.67 eV/atom
volume: 142 Å³/cell
energy of formation: -2.475 eV per atom

# 8
Computed, not measured: a relaxed structure of Ba4MgRh4O12 at the PBE level of DFT.

abc: 5.842 6.071 10.289
angles: 88.23 89.97 61.26
Space group P1 (No. 1)
Inequivalent atoms, fractional coordinates:
Ba: 0.000 0.000 0.000
Ba: 0.048 0.903 0.432
Ba: 0.358 0.284 0.193
Ba: 0.755 0.491 0.635
Mg: 0.473 0.054 0.773
Rh: 0.242 0.517 0.830
Rh: 0.381 0.237 0.524
Rh: 0.686 0.628 0.041
Rh: 0.698 0.603 0.308
O: 0.001 0.454 0.926
O: 0.027 0.451 0.421
O: 0.228 0.544 0.646
O: 0.234 0.063 0.637
O: 0.398 0.747 0.176
O: 0.518 0.963 0.952
O: 0.522 0.953 0.395
O: 0.524 0.449 0.420
O: 0.545 0.453 0.926
O: 0.703 0.062 0.637
O: 0.841 0.319 0.183
O: 0.854 0.748 0.176

Calculated values
E: -6.26 eV/atom
volume: 320 Å³/cell
energy of formation: -1.977 eV per atom
ΔE to the lowest computed polymorph: 42 meV/atom

# 9
Computed, not measured: a relaxed structure of ZrPt at the PBE level of DFT.

abc: 3.437 10.445 4.344
angles: 90.00 90.00 90.00
Space group Cmcm (No. 63)
Inequivalent atoms, fractional coordinates:
Zr: 0.000 0.141 0.250
Pt: 0.000 0.408 0.250

Calculated values
E: -8.39 eV/atom
volume: 156 Å³/cell
energy of formation: -1.083 eV per atom

# 10
Computed, not measured: a relaxed structure of NaLaRu2O6 at the PBE level of DFT.

abc: 7.885 7.885 7.885
angles: 90.00 90.00 90.00
Space group Fm-3m (No. 225)
Inequivalent atoms, fractional coordinates:
Na: 0.000 0.000 0.000
La: 0.000 0.000 0.500
Ru: 0.250 0.250 0.250
O: 0.000 0.250 0.250

Calculated values
E: -7.05 eV/atom
volume: 490 Å³/cell
energy of formation: -2.010 eV per atom

# 11
Computed, not measured: a relaxed structure of PuPtO3 at the PBE level of DFT.

abc: 4.055 4.055 4.055
angles: 90.00 90.00 90.00
Space group Pm-3m (No. 221)
Inequivalent atoms, fractional coordinates:
Pu: 0.000 0.000 0.000
Pt: 0.500 0.500 0.500
O: 0.000 0.500 0.500

Calculated values
E: -8.24 eV/atom
volume: 67 Å³/cell
energy of formation: -1.618 eV per atom

# 12
Computed, not measured: a relaxed structure of AsRh at the PBE level of DFT.

abc: 5.724 3.643 6.160
angles: 90.00 90.00 90.00
Space group Pnma (No. 62)
Inequivalent atoms, fractional coordinates:
As: 0.195 0.250 0.085
Rh: 0.003 0.250 0.694

Calculated values
E: -6.49 eV/atom
volume: 128 Å³/cell
energy of formation: -0.477 eV per atom

# 13
Computed, not measured: a relaxed structure of Fe2CuS3 at the PBE level of DFT.

abc: 6.207 10.995 6.378
angles: 90.00 90.08 90.00
Space group Pm (No. 6)
Inequivalent atoms, fractional coordinates:
Fe: 0.000 0.166 0.000
Fe: 0.263 0.332 0.164
Fe: 0.500 0.167 0.664
Fe: 0.760 0.333 0.499
Cu: 0.015 0.000 0.496
Cu: 0.237 0.500 0.664
Cu: 0.515 0.000 0.164
Cu: 0.738 0.500 0.996
S: 0.364 0.165 0.986
S: 0.371 0.500 0.998
S: 0.381 0.000 0.501
S: 0.394 0.334 0.499
S: 0.858 0.163 0.669
S: 0.871 0.500 0.658
S: 0.883 0.000 0.161
S: 0.895 0.338 0.165

Calculated values
E: -5.82 eV/atom
volume: 435 Å³/cell
energy of formation: -0.494 eV per atom
ΔE to the lowest computed polymorph: 10 meV/atom

# 14
Computed, not measured: a relaxed structure of ErTeAs at the PBE level of DFT.

abc: 7.509 4.054 9.862
angles: 90.00 90.00 90.00
Space group Pnma (No. 62)
Inequivalent atoms, fractional coordinates:
Er: 0.232 0.250 0.159
Te: 0.085 0.250 0.852
As: 0.099 0.250 0.460

Calculated values
E: -5.27 eV/atom
volume: 300 Å³/cell
energy of formation: -1.146 eV per atom

# 15
Computed, not measured: a relaxed structure of K2MgCu2O4 at the PBE level of DFT.

abc: 5.164 5.687 5.645
angles: 90.00 102.44 90.00
Space group Pm (No. 6)
Inequivalent atoms, fractional coordinates:
K: 0.000 0.000 0.000
K: 0.152 0.500 0.593
Mg: 0.661 0.500 0.916
Cu: 0.624 0.500 0.393
Cu: 0.639 0.000 0.409
O: 0.596 0.259 0.156
O: 0.696 0.268 0.649

Calculated values
E: -4.61 eV/atom
volume: 162 Å³/cell
energy of formation: -1.381 eV per atom
ΔE to the lowest computed polymorph: 46 meV/atom

# 16
Computed, not measured: a relaxed structure of TbCu4Ag at the PBE level of DFT.

abc: 7.150 7.150 7.150
angles: 90.00 90.00 90.00
Space group F-43m (No. 216)
Inequivalent atoms, fractional coordinates:
Tb: 0.000 0.000 0.000
Cu: 0.124 0.124 0.376
Ag: 0.250 0.250 0.750

Calculated values
E: -4.21 eV/atom
volume: 366 Å³/cell
energy of formation: -0.234 eV per atom

# 17
Computed, not measured: a relaxed structure of VSiN2 at the PBE level of DFT.

abc: 4.981 6.329 5.223
angles: 90.00 90.00 90.00
Space group Pna2_1 (No. 33)
Inequivalent atoms, fractional coordinates:
V: 0.074 0.157 0.000
Si: 0.094 0.619 0.964
N: 0.057 0.592 0.300
N: 0.065 0.141 0.389

Calculated values
E: -8.43 eV/atom
volume: 165 Å³/cell
energy of formation: -0.811 eV per atom

# 18
Computed, not measured: a relaxed structure of VZn4N4 at the PBE level of DFT.

abc: 5.344 5.391 8.223
angles: 76.49 78.56 71.43
Space group P-1 (No. 2)
Inequivalent atoms, fractional coordinates:
V: 0.173 0.164 0.224
Zn: 0.159 0.638 0.381
Zn: 0.266 0.739 0.998
Zn: 0.280 0.280 0.800
Zn: 0.400 0.785 0.605
N: 0.002 0.054 0.821
N: 0.079 0.612 0.643
N: 0.323 0.333 0.026
N: 0.429 0.941 0.349

Calculated values
E: -5.36 eV/atom
volume: 216 Å³/cell
energy of formation: -0.250 eV per atom